Record 1
Density functional theory data (PBE-GGA) for GeBO3 after structural relaxation.

## Properties
- uncorrected energy (eV/atom) = -5.83
- space group = No. 221

Cell lengths 3.407, 3.407, 3.407 Å; angles 90.00, 90.00, 90.00 degrees
Atoms (fractional coordinates):
Ge  0.000  0.000  0.000
B  0.500  0.500  0.500
O  0.500  0.500  0.000
O  0.500  0.000  0.500
O  0.000  0.500  0.500

=====

Record 2
Density functional theory data (PBE-GGA) for Ca3TlO5 after structural relaxation.

## Properties
- uncorrected energy (eV/atom) = -5.75
- space group = No. 63

Cell lengths 5.912, 5.912, 13.647 Å; angles 90.00, 90.00, 146.81 degrees
Atoms (fractional coordinates):
Ca  0.729  0.271  0.113
Ca  0.271  0.729  0.887
Ca  0.271  0.729  0.613
Ca  0.729  0.271  0.387
Ca  0.472  0.528  0.250
Ca  0.528  0.472  0.750
Tl  0.000  0.000  0.000
Tl  0.000  0.000  0.500
O  0.916  0.084  0.645
O  0.084  0.916  0.355
O  0.084  0.916  0.145
O  0.916  0.084  0.855
O  0.639  0.361  0.548
O  0.361  0.639  0.452
O  0.361  0.639  0.048
O  0.639  0.361  0.952
O  0.834  0.166  0.250
O  0.166  0.834  0.750

=====

Record 3
Density functional theory data (PBE-GGA) for Na6CaZr3Si2P4O24 after structural relaxation.

## Properties
- uncorrected energy (eV/atom) = -7.31
- space group = No. 1

Cell lengths 9.239, 9.257, 22.771 Å; angles 89.95, 90.09, 120.06 degrees
Atoms (fractional coordinates):
Na  0.000  0.996  0.501
Na  0.999  0.998  0.000
Na  0.645  0.296  0.832
Na  0.648  0.329  0.322
Na  0.323  0.666  0.161
Na  0.323  0.662  0.666
Na  0.654  0.014  0.241
Na  0.985  0.623  0.237
Na  0.632  0.620  0.741
Na  0.990  0.371  0.745
Na  0.666  0.977  0.587
Na  0.663  0.679  0.078
Na  0.023  0.345  0.085
Na  0.971  0.667  0.919
Na  0.335  0.306  0.918
Na  0.960  0.284  0.410
Na  0.330  0.030  0.411
Na  0.714  0.688  0.415
Ca  0.004  0.003  0.350
Ca  0.656  0.330  0.684
Ca  0.658  0.328  0.179
Zr  0.996  0.000  0.856
Zr  0.007  0.995  0.646
Zr  0.011  0.003  0.150
Zr  0.669  0.332  0.981
Zr  0.668  0.338  0.486
Zr  0.334  0.676  0.014
Zr  0.336  0.665  0.521
Zr  0.337  0.666  0.313
Zr  0.337  0.676  0.816
Si  0.670  0.640  0.587
Si  0.973  0.638  0.086
Si  0.628  0.663  0.917
Si  0.038  0.374  0.916
Si  0.338  0.968  0.915
Si  0.625  0.969  0.418
P  0.300  0.992  0.255
P  0.698  0.703  0.252
P  0.003  0.305  0.252
P  0.287  0.297  0.753
P  0.009  0.711  0.753
P  0.708  0.991  0.748
P  0.967  0.330  0.587
P  0.366  0.033  0.580
P  0.670  0.029  0.087
P  0.362  0.336  0.080
P  0.345  0.381  0.418
P  0.038  0.654  0.417
O  0.231  0.003  0.315
O  0.786  0.780  0.311
O  0.993  0.215  0.310
O  0.194  0.202  0.809
O  0.008  0.807  0.808
O  0.815  0.991  0.801
O  0.797  0.982  0.691
O  0.180  0.194  0.699
O  0.012  0.816  0.698
O  0.802  0.824  0.200
O  0.012  0.204  0.198
O  0.181  0.986  0.205
O  0.898  0.353  0.644
O  0.484  0.102  0.632
O  0.644  0.545  0.648
O  0.904  0.530  0.145
O  0.642  0.086  0.146
O  0.474  0.371  0.133
O  0.441  0.311  0.024
O  0.840  0.537  0.031
O  0.686  0.153  0.038
O  0.452  0.141  0.524
O  0.682  0.534  0.530
O  0.843  0.307  0.534
O  0.542  0.687  0.976
O  0.159  0.465  0.972
O  0.302  0.843  0.970
O  0.517  0.852  0.473
O  0.330  0.473  0.472
O  0.146  0.661  0.469
O  0.121  0.636  0.359
O  0.510  0.869  0.358
O  0.356  0.486  0.362
O  0.127  0.494  0.858
O  0.363  0.877  0.857
O  0.508  0.637  0.859
O  0.019  0.810  0.417
O  0.809  0.988  0.420
O  0.195  0.203  0.417
O  0.021  0.190  0.911
O  0.170  0.987  0.911
O  0.820  0.820  0.912
O  0.974  0.166  0.586
O  0.197  0.028  0.587
O  0.839  0.829  0.585
O  0.979  0.821  0.090
O  0.840  0.027  0.087
O  0.183  0.180  0.088
O  0.698  0.151  0.751
O  0.465  0.325  0.754
O  0.850  0.537  0.753
O  0.678  0.531  0.246
O  0.847  0.323  0.249
O  0.480  0.132  0.248
O  0.642  0.493  0.922
O  0.856  0.361  0.924
O  0.498  0.154  0.922
O  0.636  0.153  0.420
O  0.512  0.377  0.420
O  0.861  0.494  0.421
O  0.335  0.490  0.075
O  0.158  0.660  0.075
O  0.528  0.847  0.076
O  0.328  0.851  0.572
O  0.512  0.679  0.579
O  0.142  0.480  0.575
O  0.293  0.817  0.250
O  0.526  0.702  0.250
O  0.165  0.482  0.250
O  0.292  0.469  0.750
O  0.166  0.691  0.750
O  0.535  0.826  0.750

=====

Volume (computed, Å³ per atom): 7.91, 14.51, 14.05
Formation energy from the elements (computed, eV per formula unit): -5.1, -22.1, -122.0
Magnetization (computed, μB/atom): 0.00, 0.11, 0.00